i | 21
Lattice="5.823 0.000 0.000 0.021 6.133 0.000 0.111 0.602 8.554" Properties=species:S:1:pos:R:3 comment="Sr4CaTb2Ru2O12 | Materials Project | PBE-GGA | optimized geometry" crystal_system=triclinic pbc="T T T"
Sr 0.000 0.000 0.000
Sr 0.231 5.717 3.965
Sr 2.958 2.511 3.926
Sr 3.084 3.572 0.507
Ca 2.725 2.296 7.173
Tb 0.117 2.833 1.977
Tb 3.068 5.696 6.008
Ru 3.037 6.011 1.973
Ru 5.889 2.793 6.114
O 0.762 2.988 8.211
O 1.481 4.167 5.750
O 1.433 1.059 2.267
O 1.512 1.287 5.660
O 1.819 4.335 2.363
O 2.688 6.426 8.406
O 3.515 6.058 3.899
O 4.132 1.532 1.576
O 4.323 4.014 6.662
O 4.648 1.249 6.410
O 4.706 4.774 1.728
O 5.438 2.898 4.147



ii | 21
Lattice="6.123 0.000 0.000 0.460 6.253 0.000 0.351 0.339 8.108" Properties=species:S:1:pos:R:3 comment="Sr4CaTb2Ru2O12 | Materials Project | PBE-GGA | optimized geometry" crystal_system=triclinic pbc="T T T"
Sr 0.000 0.000 0.000
Sr 0.953 6.057 3.986
Sr 2.282 2.651 3.632
Sr 3.253 3.926 7.977
Ca 4.231 4.621 4.402
Tb 3.518 0.909 6.197
Tb 5.776 3.083 1.836
Ru 2.970 0.154 1.954
Ru 6.568 3.610 6.064
O 0.800 4.000 7.994
O 1.124 1.317 1.986
O 1.459 1.863 6.047
O 2.220 4.530 5.582
O 2.442 4.752 2.415
O 3.040 6.038 0.024
O 3.247 0.498 4.008
O 3.980 1.910 1.581
O 4.791 2.641 6.416
O 5.125 5.280 2.037
O 5.563 5.488 6.017
O 6.134 3.406 4.036



Of them, the most stable is ii and the least stable is i.



i | 14
Lattice="6.877 -1.734 0.000 6.877 1.734 0.000 -5.038 0.000 10.171" Properties=species:S:1:pos:R:3 comment="CaSb2O4 | Materials Project | PBE-GGA | optimized geometry" crystal_system=monoclinic pbc="T T T"
Ca 2.004 0.000 2.464
Ca 6.713 0.000 7.707
Sb -2.835 0.000 8.972
Sb 2.352 0.000 5.976
Sb 6.364 0.000 4.196
Sb 11.551 0.000 1.199
O -0.363 0.000 2.958
O 0.313 0.000 6.140
O -0.795 0.000 9.130
O 4.354 0.000 2.390
O 4.362 0.000 7.781
O 9.511 0.000 1.041
O 8.403 0.000 4.031
O 9.079 0.000 7.213



ii | 28
Lattice="6.869 0.000 0.000 0.000 12.138 0.000 0.000 0.000 5.769" Properties=species:S:1:pos:R:3 comment="CaSb2O4 | Materials Project | PBE-GGA | optimized geometry" crystal_system=orthorhombic pbc="T T T"
Ca 1.717 3.035 0.237
Ca 1.717 9.104 2.129
Ca 5.152 3.035 3.640
Ca 5.152 9.104 5.531
Sb 0.000 0.000 2.884
Sb 0.000 6.069 2.884
Sb 1.717 6.578 5.756
Sb 1.717 11.630 5.756
Sb 3.435 0.000 2.884
Sb 3.435 6.069 2.884
Sb 5.152 0.509 0.013
Sb 5.152 5.561 0.013
O 0.265 7.616 0.969
O 0.265 10.591 0.969
O 1.717 1.156 1.860
O 1.717 4.913 1.860
O 1.717 7.486 3.789
O 1.717 10.722 3.789
O 3.169 7.616 0.969
O 3.169 10.591 0.969
O 3.700 1.547 4.800
O 3.700 4.522 4.800
O 5.152 1.417 1.980
O 5.152 4.652 1.980
O 5.152 7.226 3.909
O 5.152 10.982 3.909
O 6.604 1.547 4.800
O 6.604 4.522 4.800



Of them, the most stable is i and the least stable is ii.



i | 14
Lattice="3.429 1.980 5.750 -3.429 1.980 5.750 0.000 -3.959 5.750" Properties=species:S:1:pos:R:3 comment="CaSb2O4 | Materials Project | PBE-GGA | optimized geometry" crystal_system=trigonal pbc="T T T"
Ca 0.000 0.000 0.000
Ca 0.000 0.000 6.546
Sb 0.000 -2.012 9.420
Sb -1.742 1.006 9.420
Sb 0.000 0.000 12.983
Sb 1.742 1.006 9.420
O -1.689 -0.975 7.953
O 0.000 -1.764 4.903
O -1.528 0.882 4.903
O 0.000 0.000 2.434
O 1.528 0.882 4.903
O 1.689 -0.975 7.953
O 0.000 1.950 7.953
O 0.000 0.000 10.822



ii | 14
Lattice="-3.720 3.720 4.381 3.720 -3.720 4.381 3.720 3.720 -4.381" Properties=species:S:1:pos:R:3 comment="CaSb2O4 | Materials Project | PBE-GGA | optimized geometry" crystal_system=tetragonal pbc="T T T"
Ca 0.000 0.000 0.000
Ca 0.000 3.720 2.191
Sb 1.629 -0.162 2.955
Sb 2.091 3.882 -1.426
Sb 3.558 2.091 1.426
Sb 0.162 1.629 5.807
O 4.132 2.301 -2.287
O 5.189 -0.508 1.241
O 3.212 -1.470 3.140
O 2.250 0.508 1.241
O -0.412 1.419 2.095
O 4.227 1.470 3.140
O 2.301 3.308 2.287
O 1.419 0.412 6.668



Of them, the most stable is ii and the least stable is i.



i | 13
Lattice="8.138 -1.621 0.000 8.138 1.621 0.000 -5.641 0.000 7.773" Properties=species:S:1:pos:R:3 comment="CaSb4O8 | Materials Project | PBE-GGA | optimized geometry" crystal_system=monoclinic pbc="T T T"
Ca 0.000 0.000 0.000
Sb -1.318 0.000 3.040
Sb 3.654 0.000 1.556
Sb 5.041 0.000 5.966
Sb 9.899 0.000 4.642
O -1.943 0.000 6.375
O 2.615 0.000 3.257
O 1.678 0.000 6.066
O 7.223 0.000 1.608
O 5.712 0.000 4.089
O 4.217 0.000 7.748
O 13.063 0.000 2.021
O 11.877 0.000 5.436



ii | 13
Lattice="3.437 1.984 5.604 -3.437 1.984 5.604 0.000 -3.969 5.604" Properties=species:S:1:pos:R:3 comment="CaSb4O8 | Materials Project | PBE-GGA | optimized geometry" crystal_system=trigonal pbc="T T T"
Ca 0.000 0.000 0.000
Sb -3.437 0.000 8.406
Sb -1.719 0.992 2.802
Sb 1.719 0.992 2.802
Sb 0.000 0.000 8.406
O -1.839 -1.062 9.553
O 0.000 0.000 3.778
O 0.000 -2.124 7.259
O -1.839 1.062 7.259
O 1.839 -1.062 9.553
O 0.000 2.124 9.553
O 0.000 0.000 13.034
O 1.839 1.062 7.259



Of them, the most stable is i and the least stable is ii.



i | 16
Lattice="2.047 -5.595 0.000 2.047 5.595 0.000 0.000 0.000 12.913" Properties=species:S:1:pos:R:3 comment="CaSb2O5 | Materials Project | PBE-GGA | optimized geometry" crystal_system=orthorhombic pbc="T T T"
Ca 2.047 4.548 9.685
Ca 2.047 -4.548 3.228
Sb 2.047 3.294 1.313
Sb 2.047 3.294 5.144
Sb 2.047 -3.294 7.769
Sb 2.047 -3.294 11.600
O 2.047 5.138 1.637
O 2.047 5.138 4.819
O 2.047 2.877 7.528
O 2.047 2.877 11.842
O 2.047 2.381 3.228
O 2.047 -2.381 9.685
O 2.047 -2.877 1.071
O 2.047 -2.877 5.385
O 2.047 -5.138 8.094
O 2.047 -5.138 11.276



ii | 16
Lattice="3.878 0.000 0.000 0.000 13.454 0.000 0.000 0.000 5.162" Properties=species:S:1:pos:R:3 comment="CaSb2O5 | Materials Project | PBE-GGA | optimized geometry" crystal_system=orthorhombic pbc="T T T"
Ca 0.970 3.363 0.543
Ca 2.909 10.090 4.618
Sb 0.970 8.209 2.184
Sb 0.970 11.971 2.184
Sb 2.909 1.483 2.978
Sb 2.909 5.244 2.978
O 0.970 1.203 2.326
O 0.970 5.523 2.326
O 0.970 8.671 0.327
O 0.970 10.090 2.984
O 0.970 11.509 0.327
O 2.909 1.944 4.835
O 2.909 3.363 2.178
O 2.909 4.783 4.835
O 2.909 7.930 2.836
O 2.909 12.250 2.836



Of them, the most stable is ii and the least stable is i.



i | 13
Lattice="5.724 -3.391 0.000 5.724 3.391 0.000 -1.953 0.000 5.111" Properties=species:S:1:pos:R:3 comment="Ca2Sb3O8 | Materials Project | PBE-GGA | optimized geometry" crystal_system=monoclinic pbc="T T T"
Ca 2.215 0.000 0.791
Ca 7.280 0.000 4.320
Sb 4.747 1.808 2.555
Sb 5.724 0.000 0.000
Sb 4.747 -1.808 2.555
O 0.360 0.000 2.197
O 4.279 1.407 0.383
O 3.300 0.000 3.129
O 5.215 1.407 4.728
O 4.279 -1.407 0.383
O 6.194 0.000 1.982
O 5.215 -1.407 4.728
O 9.134 0.000 2.914



ii | 26
Lattice="6.733 0.000 0.000 -3.366 5.831 0.000 0.000 0.000 10.344" Properties=species:S:1:pos:R:3 comment="Ca2Sb3O8 | Materials Project | PBE-GGA | optimized geometry" crystal_system=hexagonal pbc="T T T"
Ca 0.000 3.887 0.000
Ca 0.000 3.887 3.851
Ca 3.367 1.944 5.172
Ca 3.367 1.944 9.023
Sb 0.000 1.921 7.389
Sb -1.703 4.871 7.389
Sb 1.663 0.960 2.217
Sb 1.703 4.871 7.389
Sb 5.070 0.960 2.217
Sb 3.366 3.910 2.217
O 0.000 0.000 3.246
O 0.000 0.000 8.419
O -1.436 3.058 8.593
O 0.000 1.894 1.308
O -1.726 4.884 1.308
O 1.640 0.947 6.480
O 0.000 3.887 6.225
O 1.436 3.058 8.593
O 0.000 5.545 8.593
O 3.366 0.286 3.420
O 1.931 2.773 3.420
O 3.367 1.944 1.053
O 1.726 4.884 1.308
O 5.093 0.947 6.480
O 3.366 3.937 6.480
O 4.802 2.773 3.420



Of them, the most stable is i and the least stable is ii.